Record 1
## Li2MnO2F (GGA+U)

Data for Li2MnO2F after structural relaxation.

abc: 5.2067 5.2067 9.7854
angles: 85.32 85.32 120.35
Closest atoms and distances in Å follow each position.
Atoms (fractional coordinates):
Li (0.8363, 0.6595, 0.7454)  2 F 2.03-2.11, 3 O 2.07-2.24
Li (0.0007, 0.4939, 0.2499)  4 O 2.07-2.29, 2 F 2.17-2.28
Li (0.9090, 0.0910, 0.5000)  2 O 2.04, 4 F 2.13-2.17
Li (0.3405, 0.1637, 0.2546)  2 F 2.03-2.11, 3 O 2.07-2.24
Li (0.5061, 0.9993, 0.7501)  4 O 2.07-2.29, 2 F 2.17-2.28
Li (0.6705, 0.8571, 0.2555)  4 O 2.09-2.26, 2 F 2.11-2.13
Li (0.2512, 0.7488, 0.5000)  4 F 2.10-2.12, 2 O 2.15
Li (0.1429, 0.3295, 0.7445)  4 O 2.09-2.26, 2 F 2.11-2.13
Mn (0.7489, 0.2511, 0.0000)  6 O 2.15-2.19
Mn (0.6045, 0.3955, 0.5000)  2 O 1.86, 2 F 2.06
Mn (0.4125, 0.5875, 0.0000)  6 O 1.95-1.99
Mn (0.0772, 0.9228, 0.0000)  6 O 1.95-2.14
O (0.7161, 0.5848, 0.1101)  2 Mn 1.95-1.99, 1 Li 2.17
O (0.8548, 0.3688, 0.6190)  1 Mn 1.86, 3 Li 2.04-2.08
O (0.7604, 0.9193, 0.8801)  2 Mn 1.95-2.09, 2 Li 2.07-2.11
O (0.4152, 0.2839, 0.8899)  2 Mn 1.95-1.99, 1 Li 2.17
O (0.6312, 0.1452, 0.3810)  1 Mn 1.86, 3 Li 2.04-2.08
O (0.3695, 0.8513, 0.1176)  3 Mn 1.95-2.15, 2 Li 2.10-2.14
O (0.1487, 0.6305, 0.8824)  3 Mn 1.95-2.15, 2 Li 2.10-2.14
O (0.0807, 0.2396, 0.1199)  2 Mn 1.95-2.09, 2 Li 2.07-2.11
F (0.9721, 0.8107, 0.3722)  5 Li 2.03-2.17, 1 Mn 2.21
F (0.5387, 0.6770, 0.6156)  1 Mn 2.06, 5 Li 2.10-2.28
F (0.1893, 0.0279, 0.6278)  5 Li 2.03-2.17, 1 Mn 2.21
F (0.3230, 0.4613, 0.3844)  1 Mn 2.06, 5 Li 2.10-2.28

Computed properties:
total DFT energy (no corrections) = -5.9532 eV/atom
offset from the most stable computed form = 82.3 meV per atom
magnetic moment = 15.99 μB per cell
space-group type = C2

=====

Record 2
## Li3MnO2F2 (GGA+U)

Data for Li3MnO2F2 after structural relaxation.

abc: 5.0595 7.8632 7.8632
angles: 99.63 100.75 100.75
Closest atoms and distances in Å follow each position.
Atoms (fractional coordinates):
Li (0.2500, 0.3060, 0.1940)  4 O 2.06-2.16, 2 F 2.23
Li (0.2500, 0.8060, 0.6940)  4 O 2.06-2.16, 2 F 2.23
Li (0.7500, 0.6940, 0.8060)  4 O 2.06-2.16, 2 F 2.23
Li (0.7500, 0.1940, 0.3060)  4 O 2.06-2.16, 2 F 2.23
Li (0.2500, 0.5699, 0.9301)  4 F 2.03-2.18, 2 O 2.10
Li (0.2500, 0.0699, 0.4301)  4 F 2.03-2.18, 2 O 2.10
Li (0.7500, 0.4301, 0.0699)  4 F 2.03-2.18, 2 O 2.10
Li (0.7500, 0.9301, 0.5699)  4 F 2.03-2.18, 2 O 2.10
Li (0.2500, 0.1845, 0.8155)  4 F 2.05-2.12, 2 O 2.13
Li (0.2500, 0.6845, 0.3155)  4 F 2.05-2.12, 2 O 2.13
Li (0.7500, 0.3155, 0.6845)  4 F 2.05-2.12, 2 O 2.13
Li (0.7500, 0.8155, 0.1845)  4 F 2.05-2.12, 2 O 2.13
Mn (0.2500, 0.9456, 0.0544)  4 O 1.91-2.04
Mn (0.7500, 0.5544, 0.4456)  4 O 1.91-2.04
Mn (0.2500, 0.4456, 0.5545)  4 O 1.91-2.04
Mn (0.7500, 0.0544, 0.9456)  4 O 1.91-2.04
O (0.0147, 0.5571, 0.6763)  2 Mn 1.91-2.04, 3 Li 2.06-2.13
O (0.0147, 0.0572, 0.1762)  2 Mn 1.91-2.04, 3 Li 2.06-2.13
O (0.4853, 0.8238, 0.9428)  2 Mn 1.91-2.04, 3 Li 2.06-2.13
O (0.4853, 0.3237, 0.4429)  2 Mn 1.91-2.04, 3 Li 2.06-2.13
O (0.5147, 0.1763, 0.0571)  2 Mn 1.91-2.04, 3 Li 2.06-2.13
O (0.5147, 0.6762, 0.5572)  2 Mn 1.91-2.04, 3 Li 2.06-2.13
O (0.9853, 0.4428, 0.3238)  2 Mn 1.91-2.04, 3 Li 2.06-2.13
O (0.9853, 0.9429, 0.8237)  2 Mn 1.91-2.04, 3 Li 2.06-2.13
F (0.0049, 0.6855, 0.0665)  5 Li 2.03-2.23, 1 Mn 2.21
F (0.0049, 0.1855, 0.5665)  5 Li 2.03-2.23, 1 Mn 2.21
F (0.5049, 0.5665, 0.1855)  5 Li 2.03-2.23, 1 Mn 2.21
F (0.5049, 0.0665, 0.6855)  5 Li 2.03-2.23, 1 Mn 2.21
F (0.4951, 0.4335, 0.8145)  5 Li 2.03-2.23, 1 Mn 2.21
F (0.4951, 0.9335, 0.3145)  5 Li 2.03-2.23, 1 Mn 2.21
F (0.9951, 0.3145, 0.9335)  5 Li 2.03-2.23, 1 Mn 2.21
F (0.9951, 0.8145, 0.4335)  5 Li 2.03-2.23, 1 Mn 2.21

Computed properties:
total DFT energy (no corrections) = -5.6736 eV/atom
offset from the most stable computed form = 45.1 meV per atom
magnetic moment = 0.00 μB per cell